# LuCu3S3

Crystalline LuCu3S3 at its relaxed geometry (GGA-PBE, the Materials Project database).

abc: 3.828 3.828 19.652
angles: 90.00 90.00 120.00
Positions (direct):
Lu: 0.000 0.000 0.166
Lu: 0.000 0.000 0.834
Cu: 0.333 0.667 0.044
Cu: 0.333 0.667 0.402
Cu: 0.333 0.667 0.708
Cu: 0.667 0.333 0.292
Cu: 0.667 0.333 0.598
Cu: 0.667 0.333 0.956
S: 0.333 0.667 0.240
S: 0.333 0.667 0.595
S: 0.333 0.667 0.919
S: 0.667 0.333 0.081
S: 0.667 0.333 0.405
S: 0.667 0.333 0.760

Formation energy (meV/atom): -900
Corrected total energy (MP2020 scheme) (Ry/atom): -0.3730
Calculated total energy (eV/atom): -4.8595

---

# LuCuS2

Crystalline LuCuS2 at its relaxed geometry (GGA-PBE, the Materials Project database).

abc: 3.855 3.855 6.100
angles: 90.00 90.00 120.00
Positions (direct):
Lu: 0.000 0.000 0.000
Cu: 0.333 0.667 0.395
S: 0.333 0.667 0.771
S: 0.667 0.333 0.265

Piezoelectric modulus e_max (C/m2): 0.5
Formation energy (meV/atom): -1620
Corrected total energy (MP2020 scheme) (Ry/atom): -0.4295
Calculated total energy (eV/atom): -5.5918

---

# LuCuSb2

Crystalline LuCuSb2 at its relaxed geometry (GGA-PBE, the Materials Project database).

abc: 4.261 4.261 9.732
angles: 90.00 90.00 90.00
Positions (direct):
Lu: 0.250 0.250 0.248
Lu: 0.750 0.750 0.752
Cu: 0.250 0.750 0.500
Cu: 0.750 0.250 0.500
Sb: 0.250 0.250 0.666
Sb: 0.250 0.750 0.000
Sb: 0.750 0.250 0.000
Sb: 0.750 0.750 0.334

Formation energy (meV/atom): -606
Corrected total energy (MP2020 scheme) (Ry/atom): -0.3546
Calculated total energy (eV/atom): -4.7292